1.
## ZnFe2O5 (PBE+U)

Data for a geometry-optimized ZnFe2O5 structure.

## Properties
- energy relative to the lowest polymorph listed for this composition (meV per atom) = 7
- SG = No. 59

extended XYZ file:
```
16
Lattice="3.2951 0.0000 0.0000 0.0000 11.8424 0.0000 0.0000 0.0000 5.0481" Properties=species:S:1:pos:R:3 pbc="T T T"
Zn 0.8238 2.9606 0.4855
Zn 2.4714 8.8818 4.5626
Fe 0.8238 7.1331 2.2247
Fe 0.8238 10.6306 2.2247
Fe 2.4714 1.2119 2.8234
Fe 2.4714 4.7094 2.8234
O 0.8238 0.7559 1.8895
O 0.8238 5.1653 1.8895
O 0.8238 7.8066 0.4834
O 0.8238 8.8818 3.0554
O 0.8238 9.9571 0.4834
O 2.4714 1.8854 4.5648
O 2.4714 2.9606 1.9928
O 2.4714 4.0358 4.5648
O 2.4714 6.6772 3.1587
O 2.4714 11.0865 3.1587
```

---

2.
## ZnFe2O5 (PBE+U)

Data for a geometry-optimized ZnFe2O5 structure.

## Properties
- energy relative to the lowest polymorph listed for this composition (meV per atom) = 0
- SG = No. 63

extended XYZ file:
```
16
Lattice="1.8793 -5.2492 0.0000 1.8793 5.2492 0.0000 0.0000 0.0000 11.0382" Properties=species:S:1:pos:R:3 pbc="T T T"
Zn 1.8793 4.1344 8.2787
Zn 1.8793 -4.1344 2.7596
Fe 1.8793 3.1198 1.1023
Fe 1.8793 3.1198 4.4168
Fe 1.8793 -3.1198 6.6215
Fe 1.8793 -3.1198 9.9359
O 1.8793 4.8617 1.5178
O 1.8793 4.8617 4.0014
O 1.8793 2.6430 6.3583
O 1.8793 2.6430 10.1991
O 1.8793 2.0302 2.7596
O 1.8793 -2.0302 8.2787
O 1.8793 -2.6430 0.8391
O 1.8793 -2.6430 4.6800
O 1.8793 -4.8617 7.0369
O 1.8793 -4.8617 9.5205
```

---

3.
## ZnFe3O7 (PBE+U)

Data for a geometry-optimized ZnFe3O7 structure.

## Properties
- SG = No. 62

extended XYZ file:
```
44
Lattice="10.0007 0.0000 0.0000 0.0000 10.3426 0.0000 0.0000 0.0000 5.4489" Properties=species:S:1:pos:R:3 pbc="T T T"
Zn 0.5335 2.5856 0.5862
Zn 4.4668 7.7569 3.3106
Zn 5.5339 2.5856 2.1383
Zn 9.4672 7.7569 4.8628
Fe 1.8447 5.4870 3.8569
Fe 1.8447 10.0268 3.8569
Fe 2.3192 7.7569 1.1220
Fe 2.6812 2.5856 3.8465
Fe 3.1556 0.3157 1.1324
Fe 3.1556 4.8555 1.1324
Fe 6.8451 5.4870 4.3165
Fe 6.8451 10.0268 4.3165
Fe 7.3195 7.7569 1.6025
Fe 7.6816 2.5856 4.3269
Fe 8.1560 0.3157 1.5920
Fe 8.1560 4.8555 1.5920
O 0.1944 6.1973 3.9325
O 0.1944 9.3165 3.9325
O 0.5397 7.7569 1.0435
O 2.0860 1.2785 5.1723
O 2.0860 3.8928 5.1723
O 2.2056 1.1908 2.5969
O 2.2056 3.9805 2.5969
O 2.7947 6.3621 5.3214
O 2.7947 9.1518 5.3214
O 2.9144 6.4498 2.4478
O 2.9144 9.0641 2.4478
O 4.4607 2.5856 3.7680
O 4.8060 1.0260 1.2080
O 4.8060 4.1453 1.2080
O 5.1947 6.1973 4.2409
O 5.1947 9.3165 4.2409
O 5.5400 7.7569 1.6809
O 7.0863 1.2785 3.0011
O 7.0863 3.8928 3.0011
O 7.2060 1.1908 0.1276
O 7.2060 3.9805 0.1276
O 7.7951 6.3621 2.8520
O 7.7951 9.1518 2.8520
O 7.9148 6.4498 0.2767
O 7.9148 9.0641 0.2767
O 9.4610 2.5856 4.4054
O 9.8064 1.0260 1.5165
O 9.8064 4.1453 1.5165
```

---

4.
## Zr6Fe2O (PBE+U)

Data for a geometry-optimized Zr6Fe2O structure.

## Properties
- SG = No. 12

extended XYZ file:
```
9
Lattice="5.7461 -1.6530 0.0000 5.7461 1.6530 0.0000 -0.0577 0.0000 9.1892" Properties=species:S:1:pos:R:3 pbc="T T T"
Zr 0.5211 0.0000 2.3201
Zr 4.2086 0.0000 0.4033
Zr 4.1840 0.0000 4.2057
Zr 7.2506 0.0000 4.9834
Zr 7.2259 0.0000 8.7859
Zr 10.9135 0.0000 6.8690
Fe 2.8939 0.0000 6.8856
Fe 8.5407 0.0000 2.3035
O -0.0289 0.0000 4.5946
```

---

5.
## KMnGa2P3H4O14 (PBE+U)

Data for a geometry-optimized KMnGa2P3H4O14 structure.

## Properties
- SG = No. 15

extended XYZ file:
```
50
Lattice="6.8792 -5.1089 0.0000 6.8792 5.1089 0.0000 -2.8046 0.0000 8.5372" Properties=species:S:1:pos:R:3 pbc="T T T"
K 4.7757 3.6885 6.4029
K 6.1780 -3.6885 2.1343
Mn 6.1780 2.8754 2.1343
Mn 4.7757 -2.8754 6.4029
Ga 3.3218 0.7571 3.6869
Ga 1.9195 -0.7571 7.9555
Ga 9.0342 0.7571 0.5817
Ga 7.6319 -0.7571 4.8503
P 0.9892 1.2861 5.7989
P 2.3915 -1.2861 1.5302
P 4.7757 0.0384 6.4029
P 6.1780 -0.0384 2.1343
P 8.5623 1.2861 7.0070
P 9.9646 -1.2861 2.7384
H 2.0652 1.2394 0.0564
H 2.1915 2.3411 8.0805
H 0.6629 -1.2394 4.3251
H 7.3600 2.3411 4.7254
H 3.5938 -2.3411 3.8119
H 10.2909 1.2394 4.2122
H 8.7623 -2.3411 0.4568
H 8.8886 -1.2394 8.4808
O -0.4997 0.9780 5.8436
O 2.7179 2.3193 2.8796
O 5.4169 3.0941 0.0385
O 1.6055 0.4563 4.6346
O 0.9026 -0.9780 1.5750
O 1.6879 0.9323 7.1672
O 3.0078 -0.4563 0.3660
O 6.9391 3.0941 4.2301
O 5.0692 0.9419 2.6130
O 4.3120 0.9942 5.2745
O 3.0902 -0.9323 2.8985
O 5.2395 0.9942 7.5313
O 7.2869 0.9419 1.6557
O 1.3156 -2.3193 7.1483
O 9.6382 2.3193 1.3890
O 3.6669 -0.9419 6.8816
O 5.7143 -0.9942 1.0059
O 7.8636 0.9323 5.6387
O 6.6418 -0.9942 3.2627
O 5.8846 -0.9419 5.9243
O 4.0146 -3.0941 4.3071
O 7.9459 0.4563 8.1713
O 9.2658 -0.9323 1.3701
O 10.0512 0.9780 6.9623
O 9.3482 -0.4563 3.9026
O 5.5368 -3.0941 8.4987
O 8.2359 -2.3193 5.6576
O 11.4535 -0.9780 2.6937
```

---

6.
## MnGa2P3H4NO14 (PBE+U)

Data for a geometry-optimized MnGa2P3H4NO14 structure.

## Properties
- SG = No. 15

extended XYZ file:
```
50
Lattice="6.6546 -5.0895 0.0000 6.6546 5.0895 0.0000 -2.8409 0.0000 8.6917" Properties=species:S:1:pos:R:3 pbc="T T T"
Mn 4.5239 2.7693 6.5188
Mn 5.9443 -2.7693 2.1729
Ga 1.6244 0.7749 8.1420
Ga 3.0448 -0.7749 3.7961
Ga 7.4234 0.7749 4.8956
Ga 8.8438 -0.7749 0.5497
P 2.2550 1.2956 1.5626
P 0.8346 -1.2956 5.9084
P 4.5239 0.0528 6.5188
P 5.9443 -0.0528 2.1729
P 9.6337 1.2956 2.7833
P 8.2132 -1.2956 7.1292
H 0.5904 1.2124 4.3807
H 3.4121 2.3486 3.8648
H 2.0108 -1.2124 0.0349
H 8.4765 2.3486 0.4810
H 1.9917 -2.3486 8.2107
H 8.4574 1.2124 8.6569
H 7.0561 -2.3486 4.8269
H 9.8778 -1.2124 4.3110
N 5.9443 3.6992 2.1729
N 4.5239 -3.6992 6.5188
O 3.0842 3.9797 7.0912
O 1.0866 2.3279 7.3041
O 3.6587 3.0209 4.5360
O 2.8197 0.4134 0.4187
O 5.9635 3.9797 5.9464
O 2.9295 0.8739 2.9165
O 1.3993 -0.4134 4.7645
O 5.3891 3.0209 8.5016
O 3.4296 1.1043 6.9565
O 5.5559 0.8322 0.9885
O 1.5091 -0.8739 7.2624
O 5.6182 1.1043 6.0811
O 6.3328 0.8322 3.3574
O 2.5071 -2.3279 2.9582
O 7.9611 2.3279 5.7335
O 4.1354 -0.8322 5.3344
O 4.8501 -1.1043 2.6106
O 8.9591 0.8739 1.4294
O 4.9123 -0.8322 7.7032
O 7.0386 -1.1043 1.7352
O 5.0791 -3.0209 0.1901
O 9.0689 0.4134 3.9272
O 7.5387 -0.8739 5.7752
O 4.5047 -3.9797 2.7453
O 7.6485 -0.4134 8.2731
O 6.8096 -3.0209 4.1557
O 9.3816 -2.3279 1.3877
O 7.3840 -3.9797 1.6006
```

---

7.
## Mn3Ga4P6H12O30 (PBE+U)

Data for a geometry-optimized Mn3Ga4P6H12O30 structure.

## Properties
- SG = No. 14

extended XYZ file:
```
110
Lattice="9.0468 0.0000 0.0000 0.0000 10.1993 0.0000 -4.8094 0.0000 13.0411" Properties=species:S:1:pos:R:3 pbc="T T T"
Mn 0.0000 0.0000 0.0000
Mn -2.4047 5.0996 6.5206
Mn -2.3238 2.2352 12.9484
Mn 0.0809 2.8645 6.4279
Mn 4.1566 7.3348 6.6132
Mn 6.5613 7.9641 0.0927
Ga 0.1067 5.7465 2.2252
Ga -2.2980 9.5524 8.7458
Ga -0.3709 5.9256 10.8528
Ga 2.0338 9.3733 4.3323
Ga 2.2036 0.8259 8.7089
Ga 4.6083 4.2737 2.1883
Ga 6.5355 0.6468 4.2953
Ga 4.1308 4.4528 10.8159
P -3.1298 6.5433 9.3852
P -0.7251 8.7556 2.8646
P 2.2731 5.1371 0.0094
P -0.1316 10.1618 6.5299
P 2.8081 6.3147 3.7990
P 0.4034 8.9842 10.3196
P 3.8340 1.2151 2.7215
P 1.4293 3.8846 9.2421
P 4.3690 0.0375 6.5112
P 1.9643 5.0622 13.0318
P 4.9626 1.4437 10.1765
P 7.3673 3.6559 3.6559
H 0.0787 2.4243 1.7566
H -2.3260 2.6754 8.2772
H 0.9963 1.2280 2.2117
H -1.4084 3.8716 8.7322
H -0.7250 7.4102 6.8675
H 1.6797 7.8887 0.3469
H 0.2772 6.1922 6.8394
H 2.6819 9.1067 0.3189
H -0.7359 1.2531 10.9702
H 1.6688 3.8466 4.4496
H 2.1872 2.3427 4.6258
H -0.2175 2.7570 11.1464
H 4.4549 7.4423 1.8948
H 2.0502 7.8566 8.4153
H 2.5686 6.3527 8.5915
H 4.9733 8.9462 2.0709
H 1.5555 1.0926 12.7223
H 3.9602 4.0071 6.2017
H 2.5577 2.3106 12.6942
H 4.9624 2.7891 6.1737
H 5.6458 6.3276 4.3089
H 3.2411 8.9713 10.8295
H 6.5635 7.5239 4.7640
H 4.1588 7.7750 11.2845
O -2.9286 1.0908 9.1744
O -0.5239 4.0088 2.6539
O -3.6572 1.1810 11.6481
O -1.2525 3.9187 5.1275
O -0.4745 7.2594 3.1417
O -2.8792 8.0395 9.6623
O -0.9146 0.9102 5.5765
O -3.3193 4.1895 12.0971
O 0.6842 1.7183 1.4127
O -1.7205 3.3814 7.9333
O 1.3019 6.0883 0.7693
O -1.1028 9.2106 7.2898
O -1.8983 5.6571 9.6478
O 0.5064 9.6418 3.1272
O -0.6547 6.4434 6.6860
O 1.7500 8.8555 0.1654
O 1.5851 5.4104 3.4889
O -0.8196 9.8885 10.0094
O -1.5119 6.0574 12.3638
O 0.8928 9.2415 5.8432
O 0.5869 0.9851 7.4746
O 2.9916 4.1145 0.9540
O -0.6514 2.0016 11.6159
O 1.7533 3.0980 5.0954
O 0.1136 7.4985 9.9824
O 2.5183 7.8005 3.4618
O 3.4018 0.9862 1.2778
O 0.9971 4.1135 7.7984
O 2.6582 0.8620 3.7230
O 0.2535 4.2376 10.2435
O 3.9840 5.9617 2.7976
O 1.5793 9.3373 9.3182
O 3.2404 6.0858 5.2427
O 0.8357 9.2131 11.7633
O 1.7192 2.3988 9.5793
O 4.1239 2.7008 3.0587
O 2.4841 7.1013 7.9457
O 4.8888 8.1976 1.4252
O 1.2458 6.0847 12.0871
O 3.6505 9.2142 5.5665
O 3.3446 0.9578 7.1979
O 5.7493 4.1418 0.6774
O 5.0571 0.3108 3.0317
O 2.6524 4.7889 9.5523
O 2.4874 1.3437 12.8757
O 4.8921 3.7559 6.3552
O 3.7310 0.5575 9.9139
O 6.1357 4.5422 3.3933
O 5.3402 0.9887 5.7513
O 2.9355 4.1109 12.2719
O 5.9580 6.8179 5.1078
O 3.5533 8.4810 11.6284
O 7.5567 6.0098 0.9440
O 5.1520 9.2891 7.4646
O 7.1167 2.1598 3.3788
O 4.7120 2.9398 9.8994
O 5.4899 6.2806 7.9136
O 7.8946 9.0183 1.3930
O 4.7614 6.1905 10.3873
O 7.1661 9.1085 3.8667
```

---

8.
## Ga2NiP3H8NO14 (PBE+U)

Data for a geometry-optimized Ga2NiP3H8NO14 structure.

## Properties
- SG = No. 15

extended XYZ file:
```
58
Lattice="6.7174 -5.0978 0.0000 6.7174 5.0978 0.0000 -2.7821 0.0000 8.5808" Properties=species:S:1:pos:R:3 pbc="T T T"
Ga 2.1224 0.7548 0.5867
Ga 0.7313 -0.7548 4.8771
Ga 9.9213 0.7548 3.7037
Ga 8.5302 -0.7548 7.9941
Ni 4.6308 2.2891 6.4356
Ni 6.0218 -2.2891 2.1452
P 4.6308 5.0896 6.4356
P 1.6308 1.2831 7.0596
P 3.0219 -1.2831 2.7692
P 7.6308 1.2831 5.8117
P 9.0218 -1.2831 1.5213
P 6.0218 -5.0896 2.1452
H 3.5147 2.8130 3.9164
H 3.3072 1.2947 4.3467
H 5.4262 1.9704 1.5733
H 6.6175 1.9704 2.7171
H 8.5290 2.8130 0.3740
H 5.4288 0.7457 2.7351
H 6.6149 0.7457 1.5553
H 4.6983 -1.2947 0.0563
H 5.9543 1.2947 8.5245
H 4.0377 -0.7457 7.0256
H 5.2239 -0.7457 5.8457
H 2.1236 -2.8130 8.2068
H 4.0351 -1.9704 5.8638
H 5.2264 -1.9704 7.0075
H 7.3454 -1.2947 4.2341
H 7.1380 -2.8130 4.6645
N 6.0218 1.3586 2.1452
N 4.6308 -1.3586 6.4356
O 2.7388 2.3330 1.3446
O 3.5249 4.0927 6.8972
O 5.5893 4.1557 1.0050
O 0.9494 0.9243 5.6848
O 6.4544 4.1557 3.2854
O 5.7367 4.0927 5.9741
O 3.8978 2.0779 4.4596
O 1.0392 0.4141 8.2048
O 2.3404 -0.9243 1.3944
O 3.1383 1.0322 7.0233
O 2.4302 -0.4141 3.9144
O 5.3638 2.0779 8.4116
O 1.3478 -2.3330 5.6350
O 6.1233 1.0322 5.8480
O 4.5293 -1.0322 2.7329
O 9.3049 2.3330 2.9459
O 5.2888 -2.0779 0.1692
O 8.2224 0.4141 4.6665
O 7.5144 -1.0322 1.5576
O 8.3122 0.9243 7.1864
O 9.6135 -0.4141 0.3760
O 6.7548 -2.0779 4.1212
O 4.9160 -4.0927 2.6068
O 4.1982 -4.1557 5.2954
O 9.7033 -0.9243 2.8960
O 5.0633 -4.1557 7.5758
O 7.1277 -4.0927 1.6836
O 7.9138 -2.3330 7.2363
```

---

9.
## SrInGaWO6 (PBE+U)

Data for a geometry-optimized SrInGaWO6 structure.

## Properties
- SG = No. 216

extended XYZ file:
```
10
Lattice="0.0000 3.9949 3.9949 3.9949 0.0000 3.9949 3.9949 3.9949 0.0000" Properties=species:S:1:pos:R:3 pbc="T T T"
Sr 0.0000 0.0000 0.0000
In 3.9949 3.9949 3.9949
Ga 5.9924 5.9924 5.9924
W 1.9975 1.9975 1.9975
O 1.9975 1.9975 0.0342
O 1.9975 0.0342 1.9975
O 3.9607 1.9975 1.9975
O 0.0342 1.9975 1.9975
O 1.9975 3.9607 1.9975
O 1.9975 1.9975 3.9607
```

---

no.,ΔE_f (kJ per mole of atoms)
1,-121.06
2,-121.78
3,-113.95
4,-28.23
5,-220.43
6,-183.58
7,-205.99
8,-182.68
9,-213.17